Record 1
Below is crystalline Tl4Cu4P6O21 at its relaxed geometry, with properties calculated at the PBE level.

- Energy relative to the elements: -2.05 eV/atom
- E (MP2020): -234.1 eV/f.u.

Cell: 9.770 10.783 20.480 Å, 90.00 90.00 90.00°
Fractional coordinates of all 140 atoms:
1 O 0.322 0.461 0.634
2 O 0.486 0.843 0.818
3 O 0.535 0.239 0.795
4 O 0.758 0.183 0.086
5 O 0.807 0.712 0.742
6 O 0.528 0.611 0.800
7 O 0.965 0.761 0.295
8 O 0.258 0.183 0.414
9 O 0.535 0.761 0.705
10 O 0.096 0.989 0.598
11 O 0.822 0.539 0.634
12 O 0.479 0.654 0.423
13 O 0.404 0.011 0.098
14 O 0.986 0.157 0.818
15 O 0.486 0.157 0.682
16 O 0.678 0.539 0.366
17 O 0.964 0.151 0.011
18 O 0.178 0.539 0.134
19 O 0.965 0.239 0.205
20 O 0.964 0.849 0.489
21 O 0.178 0.461 0.366
22 O 0.479 0.346 0.077
23 O 0.465 0.239 0.295
24 O 0.035 0.239 0.705
25 O 0.036 0.849 0.989
26 O 0.014 0.157 0.318
27 O 0.514 0.157 0.182
28 O 0.953 0.433 0.118
29 O 0.742 0.817 0.586
30 O 0.979 0.654 0.077
31 O 0.536 0.151 0.989
32 O 0.758 0.817 0.414
33 O 0.047 0.567 0.882
34 O 0.242 0.817 0.914
35 O 0.096 0.011 0.902
36 O 0.822 0.461 0.866
37 O 0.193 0.712 0.242
38 O 0.953 0.567 0.382
39 O 0.678 0.461 0.134
40 O 0.547 0.567 0.618
41 O 0.750 0.986 0.500
42 O 0.047 0.433 0.618
43 O 0.904 0.989 0.098
44 O 0.464 0.849 0.011
45 O 0.250 0.014 0.500
46 O 0.972 0.389 0.300
47 O 0.521 0.346 0.577
48 O 0.404 0.989 0.402
49 O 0.250 0.986 0.000
50 O 0.972 0.611 0.200
51 O 0.521 0.654 0.923
52 O 0.514 0.843 0.318
53 O 0.986 0.843 0.682
54 O 0.193 0.288 0.258
55 O 0.472 0.389 0.200
56 O 0.307 0.712 0.758
57 O 0.693 0.288 0.242
58 O 0.242 0.183 0.586
59 O 0.028 0.611 0.700
60 O 0.742 0.183 0.914
61 O 0.596 0.011 0.598
62 O 0.596 0.989 0.902
63 O 0.035 0.761 0.795
64 O 0.528 0.389 0.700
65 O 0.307 0.288 0.742
66 O 0.453 0.433 0.382
67 O 0.536 0.849 0.511
68 O 0.258 0.817 0.086
69 O 0.322 0.539 0.866
70 O 0.807 0.288 0.758
71 O 0.453 0.567 0.118
72 O 0.021 0.346 0.923
73 O 0.036 0.151 0.511
74 O 0.750 0.014 0.000
75 O 0.472 0.611 0.300
76 O 0.021 0.654 0.577
77 O 0.693 0.712 0.258
78 O 0.014 0.843 0.182
79 O 0.465 0.761 0.205
80 O 0.904 0.011 0.402
81 O 0.979 0.346 0.423
82 O 0.028 0.389 0.800
83 O 0.547 0.433 0.882
84 O 0.464 0.151 0.489
85 P 0.540 0.263 0.230
86 P 0.960 0.263 0.770
87 P 0.040 0.737 0.230
88 P 0.960 0.737 0.730
89 P 0.040 0.263 0.270
90 P 0.022 0.441 0.371
91 P 0.978 0.559 0.629
92 P 0.849 0.088 0.051
93 P 0.651 0.088 0.949
94 P 0.522 0.441 0.129
95 P 0.651 0.912 0.551
96 P 0.151 0.912 0.949
97 P 0.022 0.559 0.129
98 P 0.151 0.088 0.551
99 P 0.349 0.912 0.051
100 P 0.349 0.088 0.449
101 P 0.460 0.263 0.730
102 P 0.522 0.559 0.371
103 P 0.540 0.737 0.270
104 P 0.849 0.912 0.449
105 P 0.978 0.441 0.871
106 P 0.478 0.441 0.629
107 P 0.478 0.559 0.871
108 P 0.460 0.737 0.770
109 Tl 0.750 0.393 0.000
110 Tl 0.664 0.258 0.396
111 Tl 0.671 0.000 0.750
112 Tl 0.836 0.258 0.604
113 Tl 0.250 0.393 0.500
114 Tl 0.336 0.258 0.896
115 Tl 0.836 0.742 0.896
116 Tl 0.664 0.742 0.104
117 Tl 0.829 0.000 0.250
118 Tl 0.750 0.607 0.500
119 Tl 0.329 0.000 0.250
120 Tl 0.164 0.742 0.396
121 Tl 0.336 0.742 0.604
122 Tl 0.250 0.607 0.000
123 Tl 0.164 0.258 0.104
124 Tl 0.171 0.000 0.750
125 Cu 0.814 0.652 0.327
126 Cu 0.686 0.348 0.827
127 Cu 0.186 0.348 0.673
128 Cu 0.476 0.843 0.915
129 Cu 0.024 0.843 0.085
130 Cu 0.686 0.652 0.673
131 Cu 0.976 0.157 0.915
132 Cu 0.314 0.652 0.173
133 Cu 0.476 0.157 0.585
134 Cu 0.524 0.157 0.085
135 Cu 0.024 0.157 0.415
136 Cu 0.314 0.348 0.327
137 Cu 0.186 0.652 0.827
138 Cu 0.976 0.843 0.585
139 Cu 0.814 0.348 0.173
140 Cu 0.524 0.843 0.415

---

Record 2
Below is crystalline TlCuP3O9 at its relaxed geometry, with properties calculated at the PBE level.

- Energy relative to the elements: -2.25 eV/atom
- E (MP2020): -98.7 eV/f.u.

Cell: 11.557 5.389 13.264 Å, 80.59 90.00 90.00°
Fractional coordinates of all 56 atoms:
1 P 0.075 0.511 0.853
2 P 0.925 0.489 0.147
3 P 0.747 0.751 0.008
4 P 0.412 0.485 0.130
5 P 0.088 0.485 0.630
6 P 0.247 0.249 0.492
7 P 0.253 0.249 0.992
8 P 0.753 0.751 0.508
9 P 0.575 0.489 0.647
10 P 0.588 0.515 0.870
11 P 0.425 0.511 0.353
12 P 0.912 0.515 0.370
13 O 0.589 0.232 0.900
14 O 0.411 0.768 0.100
15 O 0.207 0.376 0.587
16 O 0.542 0.219 0.665
17 O 0.458 0.781 0.335
18 O 0.304 0.482 0.417
19 O 0.339 0.059 0.532
20 O 0.089 0.768 0.600
21 O 0.145 0.157 0.437
22 O 0.012 0.683 0.100
23 O 0.374 0.424 0.249
24 O 0.486 0.672 0.890
25 O 0.696 0.518 0.583
26 O 0.958 0.219 0.165
27 O 0.855 0.843 0.563
28 O 0.645 0.843 0.063
29 O 0.839 0.941 0.968
30 O 0.986 0.328 0.610
31 O 0.793 0.624 0.413
32 O 0.014 0.672 0.390
33 O 0.293 0.376 0.087
34 O 0.196 0.482 0.917
35 O 0.661 0.941 0.468
36 O 0.161 0.059 0.032
37 O 0.626 0.576 0.751
38 O 0.911 0.232 0.400
39 O 0.355 0.157 0.937
40 O 0.804 0.518 0.083
41 O 0.988 0.317 0.900
42 O 0.874 0.576 0.251
43 O 0.512 0.317 0.400
44 O 0.042 0.781 0.835
45 O 0.488 0.683 0.600
46 O 0.707 0.624 0.913
47 O 0.126 0.424 0.749
48 O 0.514 0.328 0.110
49 Tl 0.172 0.933 0.256
50 Tl 0.328 0.933 0.756
51 Tl 0.828 0.067 0.744
52 Tl 0.672 0.067 0.244
53 Cu 0.500 0.000 0.000
54 Cu 0.500 0.000 0.500
55 Cu 0.000 0.000 0.500
56 Cu 0.000 0.000 0.000

---

Record 3
Below is crystalline TlCuPO4 at its relaxed geometry, with properties calculated at the PBE level.

- Energy relative to the elements: -1.92 eV/atom
- E (MP2020): -45.1 eV/f.u.

Cell: 4.932 4.932 18.265 Å, 86.68 86.68 90.08°
Fractional coordinates of all 28 atoms:
1 O 0.768 0.053 0.661
2 O 0.605 0.577 0.338
3 O 0.478 0.133 0.796
4 O 0.522 0.867 0.204
5 O 0.423 0.395 0.162
6 O 0.577 0.605 0.838
7 O 0.053 0.768 0.161
8 O 0.232 0.947 0.339
9 O 0.395 0.423 0.662
10 O 0.133 0.478 0.296
11 O 0.790 0.459 0.568
12 O 0.541 0.210 0.932
13 O 0.867 0.522 0.704
14 O 0.459 0.790 0.068
15 O 0.947 0.232 0.839
16 O 0.210 0.541 0.432
17 Tl 0.794 0.208 0.062
18 Tl 0.206 0.792 0.938
19 Tl 0.792 0.206 0.438
20 Tl 0.208 0.794 0.562
21 Cu 0.326 0.170 0.251
22 Cu 0.830 0.674 0.249
23 Cu 0.170 0.326 0.751
24 Cu 0.674 0.830 0.749
25 P 0.641 0.297 0.853
26 P 0.359 0.703 0.147
27 P 0.297 0.641 0.353
28 P 0.703 0.359 0.647